A geometry-optimized La10B9C12 structure, computed with PBE.

Cell lengths 8.6804, 8.6804, 25.4634 Å; angles 90.00, 90.00, 90.00 degrees
Fractional coordinates of all 124 atoms:
B: 0.8563 0.3617 0.3830
B: 0.5790 0.5790 0.5000
C: 0.9249 0.2167 0.9652
C: 0.8859 0.3922 0.4384
B: 0.8025 0.0869 0.5931
C: 0.0751 0.7833 0.4652
C: 0.9691 0.2880 0.0105
B: 0.8761 0.9897 0.6429
B: 0.7809 0.2941 0.2750
C: 0.7167 0.5751 0.7152
B: 0.4131 0.3025 0.8431
C: 0.9904 0.9031 0.2994
B: 0.6437 0.8617 0.8670
C: 0.1829 0.2969 0.5817
C: 0.9031 0.9904 0.7006
C: 0.2880 0.9691 0.9895
B: 0.6975 0.5869 0.6569
La: 0.8053 0.9146 0.1961
La: 0.1966 0.7144 0.1788
C: 0.6829 0.2031 0.1683
B: 0.6239 0.4897 0.6071
C: 0.5309 0.7880 0.2395
B: 0.7059 0.2191 0.2250
La: 0.1947 0.0854 0.6961
La: 0.4888 0.1825 0.5828
La: 0.2144 0.3034 0.9288
C: 0.4691 0.2120 0.7395
La: 0.5112 0.8175 0.0828
B: 0.9210 0.0790 0.7500
C: 0.5096 0.4031 0.9506
B: 0.5103 0.3761 0.8929
La: 0.9835 0.0975 0.4396
B: 0.2809 0.2059 0.4750
C: 0.7833 0.0751 0.5348
La: 0.7856 0.6966 0.4288
La: 0.1028 0.5956 0.0407
C: 0.8171 0.7031 0.0817
B: 0.2941 0.7809 0.7250
C: 0.6141 0.8922 0.8116
C: 0.6892 0.0067 0.4375
C: 0.1892 0.4933 0.3125
C: 0.5067 0.8108 0.1875
La: 0.3053 0.5854 0.5539
C: 0.0309 0.7120 0.5105
C: 0.8108 0.5067 0.8125
La: 0.7144 0.1966 0.8212
C: 0.0067 0.6892 0.5625
C: 0.0969 0.0096 0.2006
La: 0.8034 0.2856 0.6788
B: 0.2191 0.7059 0.7750
C: 0.2031 0.6829 0.8317
La: 0.4146 0.6947 0.9461
C: 0.5969 0.4904 0.5494
B: 0.1383 0.3563 0.6330
La: 0.8972 0.4044 0.5407
La: 0.1825 0.4888 0.4172
C: 0.5751 0.7167 0.2848
C: 0.4249 0.2833 0.7848
B: 0.0103 0.1239 0.8571
La: 0.0112 0.6825 0.6672
B: 0.7191 0.7941 0.9750
C: 0.0096 0.0969 0.7994
B: 0.2059 0.2809 0.5250
La: 0.5165 0.5975 0.8104
La: 0.4835 0.4025 0.3104
La: 0.6825 0.0112 0.3328
La: 0.3175 0.9888 0.8328
B: 0.0869 0.8025 0.4069
La: 0.0854 0.1947 0.3039
B: 0.5869 0.6975 0.3431
La: 0.0975 0.9835 0.5604
C: 0.7880 0.5309 0.7605
B: 0.8617 0.6437 0.1330
B: 0.9131 0.1975 0.9069
C: 0.3108 0.9933 0.9375
B: 0.7941 0.7191 0.0250
C: 0.2167 0.9249 0.0348
La: 0.9146 0.8053 0.8039
C: 0.9933 0.3108 0.0625
La: 0.0165 0.9025 0.9396
C: 0.1078 0.3859 0.6884
La: 0.6947 0.4146 0.0539
La: 0.9888 0.3175 0.1672
C: 0.2969 0.1829 0.4183
C: 0.6078 0.1141 0.0616
C: 0.3859 0.1078 0.3116
La: 0.4025 0.4835 0.6896
C: 0.2120 0.4691 0.2605
La: 0.6028 0.9044 0.7093
B: 0.4897 0.6239 0.3929
C: 0.1141 0.6078 0.9384
La: 0.9044 0.6028 0.2907
La: 0.3034 0.2144 0.0712
B: 0.4210 0.4210 0.0000
C: 0.7031 0.8171 0.9183
C: 0.4031 0.5096 0.0494
C: 0.4904 0.5969 0.4506
La: 0.8175 0.5112 0.9172
B: 0.3563 0.1383 0.3670
La: 0.3972 0.0956 0.2093
B: 0.3761 0.5103 0.1071
B: 0.1975 0.9131 0.0931
C: 0.3922 0.8859 0.5616
La: 0.9025 0.0165 0.0604
C: 0.7969 0.3171 0.3317
B: 0.3025 0.4131 0.1569
La: 0.0956 0.3972 0.7907
B: 0.0790 0.9210 0.2500
B: 0.6383 0.1437 0.1170
La: 0.5956 0.1028 0.9593
C: 0.3171 0.7969 0.6683
B: 0.1239 0.0103 0.1429
C: 0.2833 0.4249 0.2152
C: 0.8922 0.6141 0.1884
La: 0.5854 0.3053 0.4461
B: 0.9897 0.8761 0.3571
B: 0.1437 0.6383 0.8830
B: 0.3617 0.8563 0.6170
C: 0.7120 0.0309 0.4895
La: 0.5975 0.5165 0.1896
C: 0.4933 0.1892 0.6875
La: 0.6966 0.7856 0.5712
La: 0.2856 0.8034 0.3212
La: 0.4044 0.8972 0.4593

Summary:
E_tot = -7.43 eV per atom
spin magnetization = 0.1 Bohr magnetons per cell
ΔE_f = -0.33 eV per atom